1.
Below is a geometry-optimized MoH17C5N4O4 structure, with properties calculated at the PBE with a Hubbard U level.

Results
Crystal system: triclinic
Total magnetic moment in μB/cell: 1.98

Lattice parameters (Å, degrees): 10.9946 11.0226 11.0294 90.03 90.00 90.01
Last column: nearest neighbours and their distance in Å.
Space group P1 (No. 1)
Asymmetric unit:
Mo1 0.0000 0.0000 0.0000  4 O 1.79-1.81
Mo2 0.0033 0.4997 0.5031  4 O 1.79-1.81
Mo3 0.4993 0.4965 0.0034  4 O 1.79-1.81
Mo4 0.5033 0.9960 0.5000  4 O 1.79-1.81
H1 0.0003 0.6616 0.2658  1 N 1.04
H2 0.0028 0.1612 0.2382  1 N 1.03
H3 0.0042 0.2678 0.3573  1 N 1.03
H4 0.0474 0.6037 0.9494  1 C 1.09
H5 0.0541 0.4537 0.1097  1 C 1.10
H6 0.0649 0.7911 0.5723  1 C 1.10
H7 0.0728 0.5603 0.7934  1 C 1.10
H8 0.0729 0.8990 0.6980  1 C 1.10
H9 0.1012 0.3009 0.0738  1 C 1.10
H10 0.1081 0.9461 0.5466  1 C 1.09
H11 0.1464 0.0008 0.2320  1 N 1.03
H12 0.1648 0.2611 0.5014  1 N 1.04
H13 0.1998 0.5708 0.9015  1 C 1.10
H14 0.2101 0.4267 0.0669  1 C 1.10
H15 0.2318 0.8538 0.9991  1 N 1.03
H16 0.2382 0.9981 0.8385  1 N 1.04
H17 0.2462 0.6561 0.3754  1 C 1.09
H18 0.2658 0.9985 0.3384  1 N 1.04
H19 0.2717 0.1422 0.4994  1 N 1.03
H20 0.2943 0.5685 0.5652  1 C 1.10
H21 0.3057 0.4256 0.4032  1 C 1.10
H22 0.3387 0.7348 0.0005  1 N 1.03
H23 0.3572 0.9955 0.7318  1 N 1.03
H24 0.3634 0.6415 0.2453  1 C 1.09
H25 0.3952 0.0499 0.0465  1 C 1.09
H26 0.4025 0.6948 0.5723  1 C 1.10
H27 0.4305 0.0969 0.1980  1 C 1.10
H28 0.4315 0.4340 0.2953  1 C 1.10
H29 0.4383 0.2047 0.0723  1 C 1.10
H30 0.4497 0.5431 0.6076  1 C 1.10
H31 0.4582 0.3899 0.4508  1 C 1.10
H32 0.4989 0.7283 0.8569  1 N 1.03
H33 0.5005 0.8345 0.7376  1 N 1.04
H34 0.5018 0.3346 0.7648  1 N 1.03
H35 0.5039 0.2278 0.6462  1 N 1.03
H36 0.5464 0.8917 0.0536  1 C 1.10
H37 0.5534 0.0428 0.8956  1 C 1.10
H38 0.5640 0.7058 0.4305  1 C 1.10
H39 0.5721 0.9349 0.2084  1 C 1.10
H40 0.5727 0.5974 0.3050  1 C 1.10
H41 0.6006 0.1943 0.9307  1 C 1.10
H42 0.6073 0.5508 0.4565  1 C 1.10
H43 0.6339 0.2520 0.1470  1 C 1.10
H44 0.6461 0.4953 0.7714  1 N 1.03
H45 0.6468 0.1302 0.2557  1 C 1.10
H46 0.6651 0.2337 0.5030  1 N 1.04
H47 0.6983 0.9268 0.1008  1 C 1.10
H48 0.7087 0.0685 0.9386  1 C 1.10
H49 0.7315 0.6427 0.0046  1 N 1.03
H50 0.7375 0.4993 0.1652  1 N 1.04
H51 0.7472 0.8528 0.6340  1 C 1.10
H52 0.7560 0.1431 0.1341  1 C 1.10
H53 0.7655 0.4969 0.6648  1 N 1.04
H54 0.7715 0.3532 0.5045  1 N 1.03
H55 0.7946 0.9273 0.4387  1 C 1.10
H56 0.8050 0.0690 0.6007  1 C 1.10
H57 0.8382 0.7620 0.0032  1 N 1.04
H58 0.8565 0.8657 0.7556  1 C 1.10
H59 0.8570 0.5008 0.2716  1 N 1.03
H60 0.8693 0.7438 0.6468  1 C 1.10
H61 0.8994 0.4443 0.9556  1 C 1.10
H62 0.9026 0.8015 0.4307  1 C 1.10
H63 0.9312 0.0611 0.7084  1 C 1.10
H64 0.9317 0.3978 0.8028  1 C 1.10
H65 0.9392 0.2879 0.9299  1 C 1.10
H66 0.9499 0.9531 0.3957  1 C 1.10
H67 0.9570 0.1041 0.5537  1 C 1.10
H68 0.9990 0.7681 0.1465  1 N 1.03
C1 0.0522 0.8853 0.6018  3 H 1.09-1.10
C2 0.1034 0.5498 0.8875  3 H 1.09-1.10
C3 0.1156 0.3974 0.0550  3 H 1.10
C4 0.1404 0.1364 0.3636  3 N 1.34-1.35
C5 0.1517 0.3392 0.8434  1 N 1.44
C6 0.3388 0.6445 0.3412  2 H 1.09
C7 0.3631 0.8599 0.8630  3 N 1.34-1.35
C8 0.3884 0.5984 0.5521  3 H 1.10
C9 0.4024 0.4451 0.3897  3 H 1.10
C10 0.4511 0.1107 0.1018  3 H 1.09-1.10
C11 0.5515 0.6116 0.4010  3 H 1.10
C12 0.6018 0.9476 0.1144  3 H 1.10
C13 0.6143 0.0980 0.9515  3 H 1.10
C14 0.6398 0.3593 0.6401  3 N 1.34-1.35
C15 0.6609 0.1571 0.1609  3 H 1.10
C16 0.8424 0.8388 0.6607  3 H 1.10
C17 0.8637 0.6361 0.1397  3 N 1.34-1.35
C18 0.8889 0.8978 0.4515  3 H 1.10
C19 0.9015 0.0483 0.6144  3 H 1.10
C20 0.9524 0.3816 0.8988  3 H 1.10
N1 0.0398 0.1899 0.3194  2 H 1.03
N2 0.0845 0.4187 0.9231  4 C 1.44-1.53
N3 0.1839 0.0356 0.3099  2 H 1.03-1.04
N4 0.1938 0.1802 0.4635  2 H 1.03-1.04
N5 0.3095 0.8157 0.9632  2 H 1.03
N6 0.3194 0.9599 0.8096  2 H 1.03-1.04
N7 0.4206 0.5772 0.4213  4 C 1.46-1.51
N8 0.4639 0.8062 0.8194  2 H 1.03-1.04
N9 0.5396 0.3058 0.6839  2 H 1.03
N10 0.5820 0.0782 0.0820  4 C 1.50
N11 0.6840 0.4597 0.6937  2 H 1.03-1.04
N12 0.6933 0.3160 0.5393  2 H 1.03-1.04
N13 0.8104 0.6794 0.0390  2 H 1.03-1.04
N14 0.8200 0.5353 0.1930  2 H 1.03-1.04
N15 0.9213 0.9176 0.5820  4 C 1.50
N16 0.9643 0.6893 0.1834  2 H 1.03-1.04
O1 0.0466 0.6326 0.4189  1 H 1.79, 1 Mo 1.80
O2 0.0829 0.0425 0.8671  1 Mo 1.79, 1 H 1.80
O3 0.0950 0.9045 0.0947  1 Mo 1.81, 3 H 1.92-1.93
O4 0.1365 0.4165 0.5440  1 Mo 1.79, 1 H 1.80
O5 0.3663 0.5808 0.0471  1 Mo 1.80, 1 H 1.80
O6 0.4083 0.0911 0.5949  1 Mo 1.81, 3 H 1.92-1.93
O7 0.4195 0.9542 0.3670  1 H 1.79, 1 Mo 1.79
O8 0.4557 0.3640 0.9195  1 Mo 1.79, 1 H 1.81
O9 0.5464 0.8631 0.5842  1 H 1.79, 1 Mo 1.80
O10 0.5841 0.4534 0.1358  1 H 1.79, 1 Mo 1.80
O11 0.5950 0.5910 0.9086  1 Mo 1.81, 3 H 1.92-1.93
O12 0.6364 0.0806 0.4571  1 H 1.79, 1 Mo 1.80
O13 0.8671 0.9151 0.9575  1 H 1.79, 1 Mo 1.80
O14 0.9079 0.4048 0.4081  1 Mo 1.81, 3 H 1.92-1.93
O15 0.9199 0.5420 0.6372  1 H 1.79, 1 Mo 1.80
O16 0.9567 0.1337 0.0834  1 Mo 1.80, 1 H 1.81



2.
Below is a geometry-optimized Si4MoH36C12N2O2 structure, with properties calculated at the PBE with a Hubbard U level.

Results
Crystal system: orthorhombic
Total magnetic moment in μB/cell: 0.08

Lattice parameters (Å, degrees): 11.4405 19.1488 13.9071 90.00 90.00 90.00
Last column: nearest neighbours and their distance in Å.
Space group Pnma (No. 62)
Asymmetric unit:
Si1 0.0713 0.2500 0.1212  1 N 1.79, 3 C 1.87-1.88
Si2 0.0998 0.2500 0.8971  1 N 1.78, 3 C 1.88
Si3 0.2009 0.0955 0.5509  1 O 1.69, 3 C 1.87-1.88
Mo1 0.1605 0.7500 0.0181  1 N 1.67
H1 0.0008 0.1467 0.5813  1 C 1.10
H2 0.0020 0.5746 0.4991  1 C 1.10
H3 0.0473 0.1569 0.4593  1 C 1.10
H4 0.0533 0.1221 0.1556  1 C 1.10
H5 0.0536 0.7033 0.2150  1 C 1.10
H6 0.0588 0.2500 0.7246  1 C 1.10
H7 0.0625 0.1739 0.2619  1 C 1.10
H8 0.0718 0.6692 0.8028  1 C 1.10
H9 0.1426 0.1223 0.8875  1 C 1.10
H10 0.1439 0.0611 0.7151  1 C 1.10
H11 0.1478 0.5123 0.6375  1 C 1.10
H12 0.1528 0.5424 0.9322  1 C 1.10
H13 0.2039 0.0071 0.4207  1 C 1.10
H14 0.2202 0.5207 0.1880  1 C 1.10
H15 0.2258 0.7035 0.5876  1 C 1.10
H16 0.2338 0.0925 0.3785  1 C 1.10
H17 0.2378 0.7500 0.6974  1 C 1.10
H18 0.2426 0.6665 0.4489  1 C 1.10
H19 0.2456 0.1734 0.8220  1 C 1.10
C1 0.0021 0.2500 0.7885  3 H 1.10
C2 0.0236 0.1708 0.1896  3 H 1.10
C3 0.0473 0.1217 0.5216  3 H 1.10
C4 0.1948 0.0357 0.6578  3 H 1.10
C5 0.1950 0.1703 0.8893  3 H 1.10
C6 0.2358 0.2500 0.1212  3 H 1.10
C7 0.2462 0.5549 0.9362  3 H 1.10
N1 0.0114 0.2500 0.0023  2 Si 1.78-1.79, 1 Mo 1.99
N2 0.2128 0.7500 0.9060  1 Mo 1.67
O1 0.2168 0.6656 0.0796  1 Si 1.69



VASP energy readings, ordered: -5.68 -5.36 eV/atom